## BaTlCuO4 (GGA-PBE)

Data for crystalline BaTlCuO4 at its relaxed geometry.

Results
- DFT total energy: -35.781 eV per formula unit
- Crystal system: tetragonal
- Spin magnetization: 0.00 μB/atom
- Formation enthalpy at 0 K: -10.36 eV/f.u.
- Calculated volume: 220.69 Å³/cell

Unit cell a=16.0636 b=16.0636 c=16.0636 alpha=166.66 beta=166.66 gamma=18.91
Closest atoms and distances in Å follow each position.
Atoms (fractional coordinates):
Ba  0.1168  0.1168  0.0000  8 O 2.69-2.82
Ba  0.8832  0.8832  0.0000  8 O 2.69-2.82
Tl  0.2880  0.2880  0.0000  2 O 2.02-2.11
Tl  0.7120  0.7120  0.0000  2 O 2.02-2.11
Cu  0.5436  0.5436  0.0000  4 O 1.91
Cu  0.4564  0.4564  0.0000  4 O 1.91
O  0.7786  0.7786  0.0000  1 Tl 2.11
O  0.4442  0.9442  0.5000  2 Cu 1.91
O  0.0558  0.5558  0.5000  2 Cu 1.91
O  0.6482  0.6482  0.0000  1 Tl 2.02
O  0.5558  0.0558  0.5000  2 Cu 1.91
O  0.9442  0.4442  0.5000  2 Cu 1.91
O  0.3518  0.3518  0.0000  1 Tl 2.02
O  0.2214  0.2214  0.0000  1 Tl 2.11